Entry from the Materials Project database: a relaxed YTi4Cu3O12 crystal (GGA-PBE).

```
data_YTi4Cu3O12
_space_group_name_H-M_alt 'I m -3'
_space_group_IT_number 204
_space_group_name_Hall '-I 2 2 3'
_cell_length_a 7.4697
_cell_length_b 7.4697
_cell_length_c 7.4697
_cell_angle_alpha 90.00
_cell_angle_beta 90.00
_cell_angle_gamma 90.00
loop_
_atom_site_label
_atom_site_type_symbol
_atom_site_fract_x
_atom_site_fract_y
_atom_site_fract_z
Y1 Y 0.0000 0.0000 0.0000
Ti1 Ti 0.2500 0.2500 0.2500
Cu1 Cu 0.0000 0.0000 0.5000
O1 O 0.0000 0.2956 0.1762
```

Computed properties:
Energy of formation = -269 kJ/mol of atoms
Energy = -7.86 eV/atom

Entry from the Materials Project database: a relaxed Y2Ti12Cu9O36 crystal (GGA-PBE).

```
data_Y2Ti12Cu9O36
_space_group_name_H-M_alt 'P -3'
_space_group_IT_number 147
_cell_length_a 10.5005
_cell_length_b 10.5005
_cell_length_c 6.4478
_cell_angle_alpha 90.00
_cell_angle_beta 90.00
_cell_angle_gamma 120.00
loop_
_space_group_symop_operation_xyz
'x,y,z'
'-x,-y,-z'
'-y,x-y,z'
'y,-x+y,-z'
'-x+y,-x,z'
'x-y,x,-z'
loop_
_atom_site_label
_atom_site_type_symbol
_atom_site_fract_x
_atom_site_fract_y
_atom_site_fract_z
Y1 Y 0.3333 0.6667 0.3286
Ti1 Ti 0.0000 0.0000 0.5000
Ti2 Ti 0.0000 0.5000 0.5000
Ti3 Ti 0.1582 0.3189 0.1635
Ti4 Ti 0.3333 0.6667 0.8406
Cu1 Cu 0.0000 0.5000 0.0000
Cu2 Cu 0.1678 0.3356 0.6629
O1 O 0.0174 0.1641 0.3294
O2 O 0.0438 0.2686 0.9124
O3 O 0.0767 0.4511 0.2505
O4 O 0.1179 0.7076 0.4148
O5 O 0.1763 0.5261 0.6470
O6 O 0.1928 0.6835 0.0177
```

Computed properties:
Energy of formation = -262 kJ/mol of atoms
Energy = -7.77 eV/atom